Record 1
First-principles (PBE) data for a relaxed structure of Mg15W, as listed in the Materials Project.

Uncorrected energy (eV per atom): -2.164
M_tot (Bohr magnetons per cell): 0.0

Unit cell a=6.2965 b=6.2965 c=10.0629 alpha=90.00 beta=90.00 gamma=120.00
Space group P-6m2 (No. 187)
Inequivalent atoms, fractional coordinates:
Mg (0.0000, 0.0000, 0.0000) [1 per cell]
Mg (0.0001, 0.5000, 0.5000) [3 per cell]
Mg (0.0019, 0.5010, 0.0000) [3 per cell]
Mg (0.1606, 0.3213, 0.2591) [6 per cell]
Mg (0.6667, 0.3333, 0.2477) [2 per cell]
W (0.0000, 0.0000, 0.5000) [1 per cell]

Record 2
First-principles (PBE) data for a relaxed structure of Mg3W, as listed in the Materials Project.

Uncorrected energy (eV per atom): -3.992
M_tot (Bohr magnetons per cell): 0.0

Unit cell a=2.855 b=4.915 c=5.394 alpha=90.00 beta=90.00 gamma=90.00
Space group Pmm2 (No. 25)
Inequivalent atoms, fractional coordinates:
Mg (0.000, 0.000, 0.000) [1 per cell]
Mg (0.000, 0.500, 0.328) [1 per cell]
Mg (0.500, 0.000, 0.538) [1 per cell]
W (0.500, 0.500, 0.827) [1 per cell]